No. 1
DFT (PBE) results for a geometry-optimized KCu4As2 structure.

POSCAR file:
```
KCu4As2
1.0
8.742 -2.063 0.000
8.742 2.063 0.000
8.255 0.000 3.540
K As Cu
1 2 4
Cartesian
0.000 0.000 0.000
6.218 0.000 0.855
19.522 0.000 2.685
21.993 0.000 3.024
11.478 0.000 1.578
14.261 0.000 1.961
3.746 0.000 0.515
```

Values from the calculation:
**E_form**: -17.88 kJ/mol of atoms
**Symmetry**: R-3m (166)
**VASP energy**: -4.02 eV per atom

No. 2
DFT (PBE) results for a geometry-optimized Zn5FeN4 structure.

POSCAR file:
```
Zn5FeN4
1.0
-8.227 0.066 -3.481
-2.092 -2.850 4.891
-0.849 4.204 2.086
Fe Zn N
2 10 8
Cartesian
-7.358 2.627 0.245
-3.811 -1.207 3.252
-1.445 2.881 1.221
-8.768 -0.159 0.041
-2.401 1.579 3.456
-9.724 -1.461 2.275
-2.804 0.412 0.902
-8.365 1.008 2.594
-4.901 1.599 2.398
-7.224 -1.481 3.333
-3.945 2.901 0.163
-6.268 -0.179 1.098
-7.037 4.215 -0.483
-8.043 2.844 1.869
-8.635 1.797 -0.785
-5.741 1.773 0.439
-2.534 -0.377 4.282
-5.427 -0.353 3.057
-3.125 -1.424 1.628
-4.131 -2.795 3.980
```

Values from the calculation:
**E_form**: 11.70 kJ/mol of atoms
**Symmetry**: Pmmn (59)
**Total magnetization**: 0.000 μB/atom
**Corrected total energy (MP2020 scheme)**: -93.80 eV for the cell shown
**VASP energy**: -4.55 eV per atom

No. 3
DFT (PBE) results for a geometry-optimized P3Pb5O13 structure.

POSCAR file:
```
P3Pb5O13
1.0
4.949 -8.571 0.000
4.949 8.571 0.000
0.000 0.000 7.327
O P Pb
26 6 10
Cartesian
6.786 0.665 3.078
6.875 3.549 1.832
3.022 -3.549 5.495
5.928 5.544 3.078
4.130 4.394 5.495
5.767 -4.394 1.832
0.000 0.000 3.663
6.689 2.797 5.495
3.386 4.180 1.832
3.969 -5.544 4.248
7.766 -2.362 4.248
5.313 -0.843 5.495
4.027 1.380 5.495
4.584 0.843 1.832
6.511 -4.180 5.495
2.131 2.362 0.585
3.208 -2.797 1.832
3.111 -0.665 6.742
0.000 0.000 0.000
5.870 -1.380 1.832
3.111 -0.665 4.248
3.969 -5.544 6.742
2.131 2.362 3.078
5.928 5.544 0.585
7.766 -2.362 6.742
6.786 0.665 0.585
3.905 -0.165 5.495
5.992 0.165 1.832
7.801 -3.299 5.495
2.096 3.299 1.832
6.758 5.107 1.832
3.139 -5.107 5.495
4.949 2.857 7.319
7.678 -0.129 5.495
5.946 -6.585 5.495
3.951 6.585 1.832
4.949 -2.857 3.655
8.676 1.857 1.832
4.949 2.857 3.671
4.949 -2.857 0.008
2.219 0.129 1.832
1.221 -1.857 5.495
```

Values from the calculation:
**ΔE to the lowest computed polymorph**: 0.026 eV/atom
**E_form**: -211.93 kJ/mol of atoms
**Symmetry**: P6_3/m (176)
**Total magnetization**: 0.048 μB/atom
**Corrected total energy (MP2020 scheme)**: -290.51 eV for the cell shown
**VASP energy**: -6.49 eV per atom

No. 4
DFT (PBE) results for a geometry-optimized Na5Y2Zn2P3S3O24 structure.

POSCAR file:
```
Na5Y2Zn2P3S3O24
1.0
-7.214 -4.788 3.028
8.322 -3.811 -0.011
3.888 7.783 21.355
Na O S P Zn Y
15 72 9 9 6 6
Cartesian
-1.252 3.650 21.499
-3.474 -1.162 7.323
6.100 -4.459 2.573
-0.699 -1.676 8.881
5.455 -2.386 14.303
3.601 -2.673 4.311
5.777 1.026 15.037
-2.973 -2.488 11.703
-1.358 -0.306 18.879
2.990 1.763 13.417
2.870 -4.537 13.426
3.564 0.357 17.730
1.222 2.273 19.491
-1.014 -5.318 8.147
11.972 3.926 21.172
8.107 1.738 19.641
-1.384 -5.173 5.790
8.315 -0.031 8.867
2.842 -0.540 8.883
2.449 0.734 4.303
1.044 -0.294 10.425
3.880 -4.469 11.340
4.743 0.108 21.941
2.015 1.692 9.379
1.845 -2.977 2.736
3.231 1.995 21.656
3.299 0.523 11.029
0.089 -2.572 4.367
-0.023 2.231 15.036
-3.137 -2.442 4.844
7.472 -3.170 4.723
1.842 -4.516 8.930
0.184 1.743 22.280
-5.415 -3.239 4.303
4.631 -2.555 2.227
-3.358 -0.878 15.553
-0.129 1.271 7.095
0.399 -3.417 7.360
1.285 -0.181 18.525
3.070 3.535 15.399
7.114 -2.430 1.853
-1.620 -5.931 3.362
6.488 5.151 21.083
5.027 6.363 19.596
4.915 1.617 20.032
1.205 4.275 21.192
3.942 -0.543 5.880
-2.395 -3.239 7.786
3.853 -5.063 3.236
1.700 -1.107 13.414
5.182 -2.097 17.299
3.164 -2.416 14.990
5.993 -0.220 8.103
-0.044 1.454 12.726
5.297 1.861 12.796
10.524 2.543 20.000
2.602 -1.407 20.113
-0.691 1.822 18.035
4.836 -3.136 9.379
5.056 -2.251 11.791
-0.934 -0.624 16.365
-1.531 -1.193 13.942
-4.144 -2.967 9.544
9.211 2.329 14.965
3.133 4.466 17.783
-0.357 -2.878 11.623
-2.521 2.274 19.715
4.616 2.523 17.041
-3.669 -3.495 2.697
-1.169 -1.036 6.678
-1.954 -0.493 10.984
2.127 2.181 17.379
6.487 0.330 10.431
0.401 -1.020 2.488
5.613 2.336 22.257
1.810 -5.283 6.619
6.158 0.112 17.742
6.324 4.459 18.742
2.276 -0.062 15.654
-0.516 -3.143 2.078
2.821 -3.201 7.084
4.070 -0.325 13.917
0.960 3.536 13.193
6.858 -0.502 13.451
5.730 -2.799 6.424
8.817 2.827 21.830
7.487 2.697 16.556
6.294 5.602 19.692
-4.179 -2.603 3.781
0.482 -2.457 2.946
4.637 1.525 21.503
-0.150 2.639 13.614
1.568 -1.534 19.068
2.292 0.346 9.940
1.704 -4.101 7.516
6.943 0.469 9.032
-1.123 0.457 6.253
-3.671 -3.912 8.401
-1.424 -6.380 4.816
5.012 -3.509 10.875
-2.104 2.437 18.226
-1.880 -1.426 15.437
2.771 -0.985 14.508
9.273 1.917 20.649
3.193 3.202 16.916
0.581 0.862 16.510
3.155 6.389 18.187
1.367 2.599 7.342
5.083 -0.206 12.000
3.411 -3.821 1.161
-1.370 -3.105 5.893
4.382 -1.714 7.799
-0.144 -0.748 12.339
1.858 3.098 23.028
0.624 1.114 3.196
10.845 1.250 13.880
6.378 2.185 18.459
```

Values from the calculation:
**E_form**: -244.11 kJ/mol of atoms
**Symmetry**: P1 (1)
**Total magnetization**: 0.000 μB/atom
**Corrected total energy (MP2020 scheme)**: -804.40 eV for the cell shown
**VASP energy**: -6.45 eV per atom

No. 5
DFT (PBE) results for a geometry-optimized BaCO3 structure.

POSCAR file:
```
BaCO3
1.0
-3.503 -2.866 -2.905
4.292 -5.003 -0.240
-3.517 -3.382 7.579
O Ba C
12 4 4
Cartesian
-0.450 -4.045 -0.044
1.020 -2.843 1.174
-5.429 -5.621 4.626
-5.428 -5.458 2.375
2.700 -5.793 2.059
-2.224 -7.104 2.224
1.230 -6.995 0.840
-3.959 -4.255 3.594
-2.279 -7.205 4.478
-0.504 -4.146 2.209
2.700 -5.629 -0.192
-3.749 -8.407 3.259
0.308 -6.463 3.516
0.279 -6.164 -1.723
-3.008 -5.087 6.157
-3.036 -4.787 0.917
-4.950 -5.098 3.533
0.033 -3.692 1.113
-2.762 -7.558 3.320
2.222 -6.152 0.901
```

Values from the calculation:
**E_form**: -258.89 kJ/mol of atoms
**Symmetry**: Pnma (62)
**Corrected total energy (MP2020 scheme)**: -157.63 eV for the cell shown
**VASP energy**: -7.47 eV per atom

No. 6
DFT (PBE) results for a geometry-optimized Fe3Pt structure.

POSCAR file:
```
Fe3Pt
1.0
8.277 -1.361 0.000
8.277 1.361 0.000
8.053 0.000 2.347
Pt Fe
1 3
Cartesian
0.000 0.000 0.000
6.035 0.000 0.576
12.303 0.000 1.174
18.571 0.000 1.772
```

Values from the calculation:
**E_form**: 3.51 kJ/mol of atoms
**Symmetry**: R-3m (166)
**Total magnetization**: 2.050 μB/atom
**VASP energy**: -7.83 eV per atom

What did the first record say?
DFT (PBE) results for a geometry-optimized KCu4As2 structure.

POSCAR file:
```
KCu4As2
1.0
8.742 -2.063 0.000
8.742 2.063 0.000
8.255 0.000 3.540
K As Cu
1 2 4
Cartesian
0.000 0.000 0.000
6.218 0.000 0.855
19.522 0.000 2.685
21.993 0.000 3.024
11.478 0.000 1.578
14.261 0.000 1.961
3.746 0.000 0.515
```

Values from the calculation:
**E_form**: -17.88 kJ/mol of atoms
**Symmetry**: R-3m (166)
**VASP energy**: -4.02 eV per atom

Question: The lowest VASP energy belongs to which entry?
Answer: Fe3Pt

Question: Among the records above, which one has the highest VASP energy?
Answer: KCu4As2

Question: The highest E_form belongs to which entry?
Answer: Zn5FeN4